[1]
DFT (PBE) results for a relaxed Sr6MgTe8O22 crystal.

Computed properties:
Electronic total energy (eV/atom): -5.73
Size of the total moment (μB per cell): 0.0
Crystal system: triclinic
Corrected total energy (MP2020 scheme) (eV per formula unit): -227.0
Theoretical density (g/cm3): 4.91
Space-group type: P1 (1)

Cell lengths 7.951, 9.300, 9.778 Å; angles 99.61, 109.64, 100.12 degrees
Positions (direct):
Sr 0.000 0.000 0.000
Sr 0.003 0.569 0.571
Sr 0.120 0.199 0.409
Sr 0.479 0.011 0.857
Sr 0.578 0.121 0.287
Sr 0.589 0.590 0.787
Mg 0.099 0.090 0.684
Te 0.253 0.720 0.994
Te 0.254 0.864 0.398
Te 0.352 0.346 0.971
Te 0.387 0.482 0.369
Te 0.744 0.787 0.203
Te 0.748 0.851 0.589
Te 0.811 0.254 0.718
Te 0.876 0.389 0.134
O 0.009 0.891 0.728
O 0.021 0.205 0.851
O 0.147 0.342 0.219
O 0.205 0.983 0.256
O 0.233 0.000 0.559
O 0.289 0.622 0.816
O 0.290 0.518 0.520
O 0.339 0.248 0.778
O 0.369 0.170 0.043
O 0.473 0.318 0.429
O 0.481 0.881 0.064
O 0.520 0.955 0.464
O 0.614 0.444 0.032
O 0.667 0.876 0.752
O 0.684 0.634 0.553
O 0.780 0.187 0.019
O 0.804 0.768 0.030
O 0.838 0.997 0.281
O 0.845 0.359 0.311
O 0.871 0.464 0.766
O 0.911 0.210 0.567
O 0.957 0.732 0.338


[2]
DFT (PBE) results for a relaxed Sr6MgTe8O22 crystal.

Computed properties:
Electronic total energy (eV/atom): -5.73
Size of the total moment (μB per cell): 0.0
Crystal system: triclinic
Corrected total energy (MP2020 scheme) (eV per formula unit): -227.2
Theoretical density (g/cm3): 4.70
Space-group type: P1 (1)

Cell lengths 7.635, 9.838, 10.057 Å; angles 101.33, 107.23, 101.74 degrees
Positions (direct):
Sr 0.000 0.000 0.000
Sr 0.011 0.495 0.359
Sr 0.361 0.395 0.119
Sr 0.459 0.917 0.614
Sr 0.548 0.043 0.061
Sr 0.802 0.840 0.366
Mg 0.046 0.996 0.699
Te 0.092 0.705 0.740
Te 0.160 0.721 0.165
Te 0.272 0.129 0.345
Te 0.275 0.264 0.694
Te 0.558 0.570 0.487
Te 0.597 0.700 0.927
Te 0.756 0.185 0.497
Te 0.770 0.328 0.929
O 0.039 0.309 0.579
O 0.052 0.737 0.311
O 0.092 0.516 0.110
O 0.178 0.209 0.837
O 0.193 0.065 0.578
O 0.207 0.909 0.852
O 0.219 0.688 0.605
O 0.315 0.444 0.367
O 0.326 0.155 0.166
O 0.326 0.643 0.886
O 0.467 0.029 0.402
O 0.509 0.732 0.425
O 0.541 0.182 0.790
O 0.638 0.867 0.856
O 0.644 0.817 0.113
O 0.645 0.405 0.048
O 0.685 0.514 0.358
O 0.785 0.108 0.321
O 0.803 0.042 0.595
O 0.854 0.199 0.035
O 0.905 0.786 0.618
O 0.966 0.753 0.014


[3]
DFT (PBE) results for a relaxed Sr6MgTe8O22 crystal.

Computed properties:
Electronic total energy (eV/atom): -5.73
Size of the total moment (μB per cell): 0.0
Crystal system: triclinic
Corrected total energy (MP2020 scheme) (eV per formula unit): -227.1
Theoretical density (g/cm3): 4.90
Space-group type: P1 (1)

Cell lengths 7.681, 9.479, 9.969 Å; angles 98.09, 110.04, 101.34 degrees
Positions (direct):
Sr 0.000 0.000 0.000
Sr 0.025 0.480 0.494
Sr 0.203 0.559 0.928
Sr 0.456 0.467 0.293
Sr 0.603 0.539 0.721
Sr 0.657 0.092 0.239
Mg 0.286 0.820 0.185
Te 0.244 0.149 0.406
Te 0.301 0.242 0.837
Te 0.369 0.805 0.483
Te 0.396 0.864 0.842
Te 0.781 0.199 0.656
Te 0.819 0.347 0.067
Te 0.835 0.733 0.186
Te 0.876 0.804 0.603
O 0.001 0.734 0.079
O 0.006 0.718 0.373
O 0.009 0.129 0.765
O 0.128 0.277 0.300
O 0.155 0.718 0.730
O 0.261 0.390 0.730
O 0.277 0.319 0.012
O 0.315 0.047 0.259
O 0.332 0.913 0.013
O 0.354 0.601 0.493
O 0.400 0.659 0.177
O 0.488 0.288 0.510
O 0.525 0.721 0.901
O 0.600 0.384 0.926
O 0.647 0.874 0.495
O 0.740 0.363 0.229
O 0.747 0.139 0.010
O 0.762 0.598 0.525
O 0.819 0.807 0.773
O 0.849 0.222 0.496
O 0.871 0.395 0.767
O 0.874 0.940 0.218


[4]
DFT (PBE) results for a relaxed Sr6MgTe8O22 crystal.

Computed properties:
Electronic total energy (eV/atom): -5.74
Size of the total moment (μB per cell): 0.0
Crystal system: triclinic
Corrected total energy (MP2020 scheme) (eV per formula unit): -227.3
Theoretical density (g/cm3): 4.81
Space-group type: P1 (1)

Cell lengths 7.643, 9.474, 10.023 Å; angles 99.28, 97.48, 109.07 degrees
Positions (direct):
Sr 0.000 0.000 0.000
Sr 0.025 0.492 0.534
Sr 0.151 0.935 0.605
Sr 0.474 0.267 0.472
Sr 0.588 0.704 0.562
Sr 0.616 0.244 0.071
Mg 0.123 0.722 0.302
Te 0.263 0.422 0.240
Te 0.298 0.371 0.797
Te 0.358 0.804 0.850
Te 0.425 0.941 0.238
Te 0.750 0.665 0.227
Te 0.776 0.135 0.714
Te 0.810 0.569 0.836
Te 0.894 0.103 0.351
O 0.104 0.720 0.746
O 0.154 0.299 0.370
O 0.258 0.611 0.393
O 0.290 0.242 0.128
O 0.301 0.958 0.397
O 0.321 0.210 0.673
O 0.331 0.984 0.943
O 0.340 0.519 0.688
O 0.455 0.882 0.701
O 0.519 0.480 0.339
O 0.584 0.436 0.894
O 0.647 0.911 0.339
O 0.725 0.495 0.642
O 0.751 0.747 0.851
O 0.773 0.238 0.415
O 0.813 0.161 0.905
O 0.823 0.096 0.163
O 0.858 0.513 0.186
O 0.872 0.977 0.672
O 0.897 0.724 0.415
O 0.959 0.810 0.173
O 0.999 0.305 0.704


[5]
DFT (PBE) results for a relaxed Sr6MgTe8O22 crystal.

Computed properties:
Electronic total energy (eV/atom): -5.72
Size of the total moment (μB per cell): 0.0
Crystal system: triclinic
Corrected total energy (MP2020 scheme) (eV per formula unit): -226.8
Theoretical density (g/cm3): 4.75
Space-group type: P1 (1)

Cell lengths 7.738, 9.715, 9.915 Å; angles 103.69, 99.39, 106.60 degrees
Positions (direct):
Sr 0.000 0.000 0.000
Sr 0.030 0.499 0.485
Sr 0.411 0.736 0.888
Sr 0.457 0.341 0.399
Sr 0.577 0.204 0.020
Sr 0.850 0.565 0.879
Mg 0.137 0.047 0.424
Te 0.155 0.915 0.666
Te 0.194 0.320 0.741
Te 0.206 0.441 0.133
Te 0.318 0.884 0.198
Te 0.653 0.104 0.674
Te 0.673 0.719 0.610
Te 0.752 0.695 0.206
Te 0.788 0.089 0.321
O 0.101 0.481 0.747
O 0.119 0.782 0.031
O 0.201 0.272 0.544
O 0.236 0.750 0.657
O 0.257 0.037 0.855
O 0.257 0.066 0.265
O 0.262 0.508 0.336
O 0.342 0.306 0.125
O 0.355 0.031 0.584
O 0.369 0.597 0.084
O 0.464 0.963 0.082
O 0.546 0.584 0.698
O 0.649 0.997 0.810
O 0.661 0.286 0.798
O 0.740 0.579 0.480
O 0.742 0.766 0.040
O 0.745 0.271 0.416
O 0.799 0.516 0.119
O 0.851 0.153 0.158
O 0.901 0.790 0.755
O 0.972 0.165 0.734
O 0.995 0.824 0.324


[6]
DFT (PBE) results for a relaxed Sr6MgTe8O22 crystal.

Computed properties:
Electronic total energy (eV/atom): -5.71
Size of the total moment (μB per cell): 2.0
Crystal system: triclinic
Corrected total energy (MP2020 scheme) (eV per formula unit): -226.3
Theoretical density (g/cm3): 4.85
Space-group type: P1 (1)

Cell lengths 7.613, 9.335, 9.925 Å; angles 93.75, 98.62, 107.96 degrees
Positions (direct):
Sr 0.000 0.000 0.000
Sr 0.004 0.462 0.476
Sr 0.356 0.721 0.858
Sr 0.418 0.227 0.372
Sr 0.534 0.639 0.460
Sr 0.862 0.030 0.357
Mg 0.913 0.859 0.692
Te 0.204 0.411 0.114
Te 0.218 0.867 0.542
Te 0.238 0.817 0.221
Te 0.248 0.273 0.701
Te 0.627 0.140 0.068
Te 0.719 0.110 0.664
Te 0.723 0.544 0.770
Te 0.732 0.593 0.171
O 0.019 0.646 0.256
O 0.132 0.975 0.252
O 0.144 0.219 0.512
O 0.162 0.438 0.735
O 0.168 0.799 0.027
O 0.190 0.888 0.735
O 0.261 0.440 0.309
O 0.274 0.237 0.086
O 0.293 0.691 0.580
O 0.427 0.060 0.573
O 0.430 0.558 0.076
O 0.493 0.414 0.622
O 0.535 0.050 0.222
O 0.620 0.968 0.956
O 0.681 0.451 0.299
O 0.712 0.919 0.568
O 0.714 0.758 0.279
O 0.766 0.222 0.515
O 0.783 0.761 0.841
O 0.824 0.628 0.610
O 0.884 0.185 0.150
O 0.984 0.107 0.752


Number 1: calculated formation energy -7843 kJ/mol of formula units. Number 2: calculated formation energy -7859 kJ/mol of formula units. Number 3: calculated formation energy -7853 kJ/mol of formula units. Number 4: calculated formation energy -7873 kJ/mol of formula units. Number 5: calculated formation energy -7825 kJ/mol of formula units. Number 6: calculated formation energy -7772 kJ/mol of formula units.